! Ca2B4Rh5, optimized geometry, DFT r2SCAN; values from VASP
! Volume in Å³ per atom: 13.6
! Formation energy in eV/f.u.: -7.6
! Theoretical density in g cm⁻³: 7.1
! SG: Fmmm
&SYSTEM
  ibrav = 0, nat = 11, ntyp = 3
/
ATOMIC_SPECIES
Rh 102.91 Rh.upf
B 10.81 B.upf
Ca 40.08 Ca.upf
CELL_PARAMETERS angstrom
4.919 0.000 2.394
2.460 4.894 1.197
0.007 0.000 6.236
ATOMIC_POSITIONS crystal
Rh 0.500 0.500 0.000
Rh 0.500 0.000 0.000
B 0.470 0.321 0.739
Rh 0.000 0.500 0.000
Rh 0.250 0.500 0.500
Ca 0.143 0.000 0.715
B 0.791 0.679 0.739
Rh 0.750 0.500 0.500
B 0.209 0.321 0.261
Ca 0.857 0.000 0.285
B 0.530 0.679 0.261

! Ca3B6Rh8, optimized geometry, DFT r2SCAN; values from VASP
! Volume in Å³ per atom: 13.4
! Formation energy in eV/f.u.: -11.8
! Theoretical density in g cm⁻³: 7.3
! SG: Fmmm
&SYSTEM
  ibrav = 0, nat = 17, ntyp = 3
/
ATOMIC_SPECIES
Rh 102.91 Rh.upf
B 10.81 B.upf
Ca 40.08 Ca.upf
CELL_PARAMETERS angstrom
-2.547 -2.637 4.106
2.725 -0.907 4.799
-4.109 6.116 5.068
ATOMIC_POSITIONS crystal
Rh 0.250 0.500 0.500
B 0.011 0.320 0.658
Rh 0.415 0.500 0.170
Rh 0.915 0.500 0.170
Rh 0.086 0.000 0.827
Rh 0.750 0.500 0.500
Ca 0.682 0.000 0.636
B 0.167 0.667 0.000
Rh 0.914 0.000 0.173
Ca 0.500 0.000 0.000
B 0.989 0.680 0.342
B 0.669 0.320 0.342
Ca 0.318 0.000 0.364
Rh 0.085 0.500 0.830
B 0.833 0.333 0.000
B 0.331 0.680 0.658
Rh 0.585 0.500 0.830

! KCdB3O6, optimized geometry, DFT r2SCAN; values from VASP
! Volume in Å³ per atom: 13.0
! Formation energy in eV/f.u.: -25.8
! Theoretical density in g cm⁻³: 3.3
! SG: C2/c
&SYSTEM
  ibrav = 0, nat = 44, ntyp = 4
/
ATOMIC_SPECIES
B 10.81 B.upf
O 16.00 O.upf
Cd 112.41 Cd.upf
K 39.10 K.upf
CELL_PARAMETERS angstrom
-7.102 -0.428 2.557
5.698 -4.022 2.917
1.567 6.623 10.382
ATOMIC_POSITIONS crystal
B 0.068 0.682 0.626
O 0.029 0.031 0.620
B 0.840 0.817 0.657
Cd 0.627 0.479 0.378
B 0.817 0.840 0.157
B 0.160 0.183 0.343
O 0.969 0.971 0.880
Cd 0.521 0.373 0.122
O 0.585 0.719 0.439
Cd 0.479 0.627 0.878
K 0.319 0.835 0.368
O 0.031 0.029 0.120
O 0.647 0.866 0.164
B 0.077 0.236 0.088
O 0.971 0.969 0.380
O 0.919 0.485 0.373
O 0.134 0.353 0.336
B 0.183 0.160 0.843
Cd 0.373 0.521 0.622
B 0.923 0.764 0.912
B 0.764 0.923 0.412
O 0.901 0.252 0.088
B 0.932 0.318 0.374
O 0.719 0.585 0.939
B 0.318 0.932 0.874
K 0.165 0.681 0.132
O 0.281 0.415 0.061
O 0.353 0.134 0.836
O 0.779 0.643 0.184
O 0.081 0.515 0.627
O 0.252 0.901 0.588
K 0.681 0.165 0.632
O 0.221 0.357 0.816
O 0.515 0.081 0.127
O 0.415 0.281 0.561
O 0.099 0.748 0.912
K 0.835 0.319 0.868
O 0.357 0.221 0.316
O 0.748 0.099 0.412
O 0.643 0.779 0.684
B 0.682 0.068 0.126
B 0.236 0.077 0.588
O 0.485 0.919 0.873
O 0.866 0.647 0.664

! CdB4O7, optimized geometry, DFT r2SCAN; values from VASP
! Volume in Å³ per atom: 10.7
! Formation energy in eV/f.u.: -29.0
! Theoretical density in g cm⁻³: 3.5
! SG: Pbca
&SYSTEM
  ibrav = 0, nat = 96, ntyp = 3
/
ATOMIC_SPECIES
B 10.81 B.upf
O 16.00 O.upf
Cd 112.41 Cd.upf
CELL_PARAMETERS angstrom
8.256 0.000 0.000
0.000 8.710 0.000
0.000 0.000 14.228
ATOMIC_POSITIONS crystal
B 0.710 0.140 0.045
O 0.966 0.667 0.244
B 0.950 0.281 0.435
O 0.553 0.089 0.811
O 0.534 0.333 0.744
O 0.973 0.382 0.351
O 0.027 0.618 0.649
B 0.509 0.059 0.160
B 0.950 0.219 0.935
O 0.357 0.374 0.999
O 0.111 0.634 0.097
B 0.009 0.441 0.840
Cd 0.878 0.611 0.388
B 0.210 0.140 0.455
B 0.481 0.676 0.766
B 0.519 0.176 0.734
B 0.491 0.941 0.840
Cd 0.378 0.611 0.112
O 0.857 0.374 0.501
O 0.889 0.134 0.403
O 0.389 0.366 0.597
B 0.519 0.324 0.234
O 0.643 0.626 0.001
O 0.165 0.042 0.387
B 0.290 0.860 0.955
O 0.473 0.382 0.149
O 0.835 0.958 0.613
O 0.392 0.758 0.482
B 0.009 0.059 0.340
O 0.392 0.742 0.982
O 0.447 0.911 0.189
O 0.111 0.866 0.597
Cd 0.622 0.389 0.888
Cd 0.122 0.389 0.612
O 0.447 0.589 0.689
O 0.665 0.458 0.613
O 0.611 0.866 0.903
O 0.534 0.167 0.244
B 0.550 0.719 0.935
Cd 0.122 0.111 0.112
O 0.947 0.589 0.811
O 0.143 0.874 0.999
B 0.019 0.324 0.266
B 0.790 0.860 0.545
O 0.389 0.134 0.097
B 0.050 0.781 0.065
O 0.466 0.667 0.256
B 0.210 0.360 0.955
O 0.053 0.089 0.689
O 0.947 0.911 0.311
O 0.143 0.626 0.499
O 0.611 0.634 0.403
B 0.019 0.176 0.766
B 0.491 0.559 0.340
B 0.981 0.824 0.234
O 0.857 0.126 0.001
B 0.790 0.640 0.045
O 0.108 0.258 0.482
O 0.335 0.958 0.887
O 0.608 0.258 0.018
B 0.710 0.360 0.545
B 0.550 0.781 0.435
B 0.050 0.719 0.565
O 0.966 0.833 0.744
O 0.466 0.833 0.756
O 0.527 0.882 0.351
O 0.608 0.242 0.518
O 0.553 0.411 0.311
O 0.335 0.542 0.387
B 0.981 0.676 0.734
O 0.034 0.333 0.756
O 0.053 0.411 0.189
O 0.034 0.167 0.256
B 0.450 0.281 0.065
O 0.973 0.118 0.851
B 0.991 0.941 0.660
O 0.165 0.458 0.887
O 0.357 0.126 0.499
B 0.481 0.824 0.266
B 0.991 0.559 0.160
B 0.509 0.441 0.660
Cd 0.378 0.889 0.612
O 0.889 0.366 0.903
B 0.290 0.640 0.455
O 0.665 0.042 0.113
B 0.450 0.219 0.565
O 0.527 0.618 0.851
O 0.027 0.882 0.149
O 0.643 0.874 0.501
O 0.473 0.118 0.649
Cd 0.878 0.889 0.888
O 0.892 0.758 0.018
O 0.108 0.242 0.982
O 0.835 0.542 0.113
O 0.892 0.742 0.518
Cd 0.622 0.111 0.388

! SrCdB2O5, optimized geometry, DFT r2SCAN; values from VASP
! Volume in Å³ per atom: 11.9
! Formation energy in eV/f.u.: -23.1
! Theoretical density in g cm⁻³: 4.7
! SG: C2/c
&SYSTEM
  ibrav = 0, nat = 36, ntyp = 4
/
ATOMIC_SPECIES
B 10.81 B.upf
Cd 112.41 Cd.upf
O 16.00 O.upf
Sr 87.62 Sr.upf
CELL_PARAMETERS angstrom
-4.098 4.477 -1.935
-3.466 -4.409 3.022
-0.386 5.419 9.763
ATOMIC_POSITIONS crystal
B 0.131 0.325 0.831
Cd 0.738 0.935 0.943
O 0.377 0.185 0.597
O 0.366 0.756 0.024
O 0.729 0.496 0.119
O 0.496 0.729 0.619
O 0.244 0.634 0.476
O 0.504 0.271 0.381
O 0.115 0.127 0.373
Cd 0.262 0.065 0.057
O 0.873 0.885 0.127
B 0.675 0.869 0.669
B 0.543 0.270 0.504
Sr 0.184 0.816 0.750
B 0.325 0.131 0.331
O 0.634 0.244 0.976
O 0.971 0.613 0.261
Cd 0.935 0.738 0.443
O 0.271 0.504 0.881
B 0.869 0.675 0.169
O 0.127 0.115 0.873
Sr 0.816 0.184 0.250
O 0.756 0.366 0.524
B 0.270 0.543 0.004
O 0.623 0.815 0.403
O 0.815 0.623 0.903
B 0.730 0.457 0.996
B 0.457 0.730 0.496
O 0.613 0.971 0.761
O 0.185 0.377 0.097
O 0.885 0.873 0.627
Cd 0.065 0.262 0.557
O 0.029 0.387 0.739
Sr 0.631 0.369 0.750
O 0.387 0.029 0.239
Sr 0.369 0.631 0.250

! CeB4, optimized geometry, DFT r2SCAN; values from VASP
! Volume in Å³ per atom: 10.5
! Formation energy in eV/f.u.: -3.3
! Theoretical density in g cm⁻³: 5.8
! SG: P4/mbm
&SYSTEM
  ibrav = 0, nat = 20, ntyp = 2
/
ATOMIC_SPECIES
B 10.81 B.upf
Ce 140.12 Ce.upf
CELL_PARAMETERS angstrom
-3.201 -0.087 -2.519
2.202 -6.324 -2.581
-3.855 -3.390 5.016
ATOMIC_POSITIONS crystal
B 0.500 0.038 0.824
B 0.500 0.176 0.038
B 0.500 0.324 0.538
B 0.500 0.588 0.912
B 0.500 0.824 0.962
Ce 0.000 0.187 0.313
B 0.798 0.500 0.500
B 0.500 0.962 0.176
B 0.500 0.538 0.676
B 0.202 0.500 0.500
B 0.500 0.088 0.588
B 0.500 0.912 0.412
B 0.500 0.412 0.088
B 0.500 0.462 0.324
Ce 0.000 0.313 0.813
B 0.798 0.000 0.000
Ce 0.000 0.687 0.187
B 0.500 0.676 0.462
B 0.202 0.000 0.000
Ce 0.000 0.813 0.687

! CeCo12B6, optimized geometry, DFT r2SCAN; values from VASP
! Volume in Å³ per atom: 9.8
! Formation energy in eV/f.u.: -5.0
! Theoretical density in g cm⁻³: 8.1
! SG: R-3m
&SYSTEM
  ibrav = 0, nat = 19, ntyp = 3
/
ATOMIC_SPECIES
B 10.81 B.upf
Ce 140.12 Ce.upf
Co 58.93 Co.upf
CELL_PARAMETERS angstrom
-4.340 3.124 2.605
-0.460 1.382 -5.767
-1.868 -5.639 0.308
ATOMIC_POSITIONS crystal
B 0.327 0.770 0.770
Ce 0.000 0.000 0.000
Co 0.134 0.500 0.866
B 0.230 0.673 0.230
B 0.770 0.770 0.327
Co 0.457 0.185 0.457
B 0.230 0.230 0.673
Co 0.866 0.500 0.134
B 0.770 0.327 0.770
Co 0.815 0.543 0.543
Co 0.866 0.134 0.500
Co 0.457 0.457 0.185
B 0.673 0.230 0.230
Co 0.134 0.866 0.500
Co 0.500 0.134 0.866
Co 0.543 0.815 0.543
Co 0.185 0.457 0.457
Co 0.500 0.866 0.134
Co 0.543 0.543 0.815

! CeCr2B6, optimized geometry, DFT r2SCAN; values from VASP
! Volume in Å³ per atom: 9.2
! Formation energy in eV/f.u.: -5.2
! Theoretical density in g cm⁻³: 6.2
! SG: Immm
&SYSTEM
  ibrav = 0, nat = 9, ntyp = 3
/
ATOMIC_SPECIES
Ce 140.12 Ce.upf
Cr 52.00 Cr.upf
B 10.81 B.upf
CELL_PARAMETERS angstrom
2.939 0.000 0.860
1.119 5.128 1.628
-0.013 0.006 5.495
ATOMIC_POSITIONS crystal
Ce 0.000 0.000 0.000
Cr 0.155 0.345 0.345
B 0.500 0.358 0.642
B 0.303 0.460 0.933
Cr 0.845 0.655 0.655
B 0.500 0.642 0.358
B 0.303 0.933 0.460
B 0.697 0.067 0.540
B 0.697 0.540 0.067